The following is a PBE calculation of an optimized crystal structure of Ti2FeB2RuRh4, from the Materials Project.

Cell: 3.065 9.078 9.119 Å, 90.00 90.00 90.00°
Sites, in units of the cell vectors:
Rh: 0.500 0.785 0.927
Ti: 0.000 0.328 0.819
Ti: 0.000 0.817 0.678
Rh: 0.500 0.500 0.000
Ti: 0.000 0.672 0.181
Rh: 0.500 0.000 0.500
Rh: 0.500 0.715 0.427
Fe: 0.000 0.500 0.500
Rh: 0.500 0.215 0.073
B: 0.000 0.377 0.127
Rh: 0.500 0.073 0.786
B: 0.000 0.623 0.873
Rh: 0.500 0.285 0.573
Fe: 0.000 0.000 0.000
B: 0.000 0.875 0.374
B: 0.000 0.125 0.626
Ti: 0.000 0.183 0.322
Ru: 0.500 0.427 0.288
Ru: 0.500 0.573 0.712
Rh: 0.500 0.927 0.214

Output
* raw total energy: -8.190 eV per atom
* formation enthalpy at 0 K: -0.55 eV/atom
* magnetic moment: 4.3 μB per formula unit